# HgCl2 (PBE-GGA, relaxed)
data_HgCl2
_chemical_formula_sum 'Hg4 Cl8'
_cell_length_a 16.6512
_cell_length_b 8.3043
_cell_length_c 6.0887
_cell_angle_alpha 90.00
_cell_angle_beta 90.00
_cell_angle_gamma 90.00
_symmetry_space_group_name_H-M 'P n m a'
_symmetry_Int_Tables_number 62
loop_
_symmetry_equiv_pos_as_xyz
'x,y,z'
'-x,-y,-z'
'-x+1/2,-y,z+1/2'
'x+1/2,y,-z+1/2'
'x+1/2,-y+1/2,-z+1/2'
'-x+1/2,y+1/2,z+1/2'
'-x,y+1/2,-z'
'x,-y+1/2,z'
loop_
_atom_site_label
_atom_site_fract_x
_atom_site_fract_y
_atom_site_fract_z
_atom_site_occupancy
Hg1 0.1244 0.2500 0.1019 1
Cl1 0.0009 0.2500 0.9393 1
Cl2 0.2487 0.2500 0.2598 1
# Calculated density: 2.1 g/cm3
# Spin magnetization: 0.001 μB per atom
# ΔH_f (0 K): -0.94 eV per atom
# DFT total energy: -1.87 eV per atom
# E (MP2020): -6.8 eV per formula unit